1.
Material: As2Se3N2F12
Method: DFT, PBE-GGA
State: optimized geometry

Cell lengths 7.905, 7.905, 11.180 Å; angles 91.14, 91.14, 68.17 degrees
Fractional coordinates of all 38 atoms:
As 0.000 0.000 0.000
As 0.342 0.389 0.251
As 0.611 0.658 0.749
As 0.995 0.005 0.500
Se 0.145 0.428 0.642
Se 0.151 0.427 0.857
Se 0.521 0.199 0.747
Se 0.572 0.855 0.358
Se 0.573 0.849 0.143
Se 0.801 0.479 0.253
N 0.370 0.287 0.625
N 0.377 0.287 0.871
N 0.713 0.623 0.129
N 0.713 0.630 0.375
F 0.059 0.787 0.565
F 0.073 0.089 0.629
F 0.073 0.789 0.921
F 0.092 0.095 0.888
F 0.167 0.448 0.139
F 0.171 0.452 0.362
F 0.211 0.927 0.079
F 0.213 0.941 0.435
F 0.340 0.160 0.251
F 0.347 0.609 0.251
F 0.391 0.653 0.749
F 0.510 0.316 0.139
F 0.514 0.321 0.363
F 0.548 0.829 0.638
F 0.552 0.833 0.861
F 0.679 0.486 0.637
F 0.684 0.490 0.861
F 0.775 0.068 0.564
F 0.788 0.071 0.921
F 0.840 0.660 0.749
F 0.905 0.908 0.112
F 0.911 0.927 0.371
F 0.929 0.212 0.079
F 0.932 0.225 0.436

Results
The calculation puts the calculated volume at 17.06 A^3/atom. The calculation puts the formation energy at -165.3 kJ/mol of atoms. As for the crystal system: monoclinic. As for the final energy: -4.551 eV/atom. As for the space group: C2 (5).



2.
Material: CsP4N7
Method: DFT, PBE-GGA
State: optimized geometry

Cell lengths 10.095, 12.547, 4.758 Å; angles 90.00, 90.00, 90.00 degrees
Fractional coordinates of all 48 atoms:
Cs 0.143 0.250 0.226
Cs 0.357 0.750 0.726
Cs 0.643 0.250 0.274
Cs 0.857 0.750 0.774
P 0.088 0.629 0.216
P 0.088 0.871 0.216
P 0.158 0.501 0.727
P 0.158 0.999 0.727
P 0.342 0.001 0.227
P 0.342 0.499 0.227
P 0.412 0.129 0.716
P 0.412 0.371 0.716
P 0.588 0.629 0.284
P 0.588 0.871 0.284
P 0.658 0.501 0.773
P 0.658 0.999 0.773
P 0.842 0.001 0.273
P 0.842 0.499 0.273
P 0.912 0.129 0.784
P 0.912 0.371 0.784
N 0.059 0.096 0.689
N 0.059 0.404 0.689
N 0.120 0.606 0.891
N 0.120 0.750 0.297
N 0.120 0.894 0.891
N 0.200 0.545 0.391
N 0.200 0.955 0.391
N 0.300 0.045 0.891
N 0.300 0.455 0.891
N 0.380 0.106 0.391
N 0.380 0.250 0.797
N 0.380 0.394 0.391
N 0.441 0.596 0.189
N 0.441 0.904 0.189
N 0.559 0.096 0.811
N 0.559 0.404 0.811
N 0.620 0.606 0.609
N 0.620 0.750 0.203
N 0.620 0.894 0.609
N 0.700 0.545 0.109
N 0.700 0.955 0.109
N 0.800 0.045 0.609
N 0.800 0.455 0.609
N 0.880 0.106 0.109
N 0.880 0.250 0.703
N 0.880 0.394 0.109
N 0.941 0.596 0.311
N 0.941 0.904 0.311

Results
The calculation puts the calculated volume at 12.55 A^3/atom. The calculation puts the formation energy at -64.2 kJ/mol of atoms. As for the crystal system: orthorhombic. As for the final energy: -7.197 eV/atom. As for the space group: Pnma (62).



3.
Material: RbOsN2
Method: DFT, PBE-GGA
State: optimized geometry

Cell lengths 7.824, 6.307, 12.399 Å; angles 90.00, 90.00, 90.00 degrees
Fractional coordinates of all 32 atoms:
Rb 0.116 0.091 0.250
Rb 0.116 0.409 0.750
Rb 0.369 0.250 0.000
Rb 0.369 0.250 0.500
Rb 0.631 0.750 0.000
Rb 0.631 0.750 0.500
Rb 0.884 0.591 0.250
Rb 0.884 0.909 0.750
Os 0.131 0.750 0.000
Os 0.131 0.750 0.500
Os 0.384 0.648 0.250
Os 0.384 0.852 0.750
Os 0.616 0.148 0.250
Os 0.616 0.352 0.750
Os 0.869 0.250 0.000
Os 0.869 0.250 0.500
N 0.000 0.000 0.000
N 0.000 0.000 0.500
N 0.000 0.500 0.000
N 0.000 0.500 0.500
N 0.263 0.706 0.123
N 0.263 0.706 0.377
N 0.263 0.794 0.623
N 0.263 0.794 0.877
N 0.444 0.143 0.750
N 0.444 0.357 0.250
N 0.556 0.643 0.750
N 0.556 0.857 0.250
N 0.737 0.206 0.123
N 0.737 0.206 0.377
N 0.737 0.294 0.623
N 0.737 0.294 0.877

Results
The calculation puts the calculated volume at 19.12 A^3/atom. The calculation puts the formation energy at -6.1 kJ/mol of atoms. As for the crystal system: orthorhombic. As for the final energy: -7.103 eV/atom. As for the energy above the most stable polymorph in this dataset: 0.0 meV per atom. As for the space group: Pbcm (57).



4.
Material: Cs2Ba2O3
Method: DFT, PBE-GGA
State: optimized geometry

Cell lengths 8.634, 6.922, 7.355 Å; angles 90.00, 111.52, 90.00 degrees
Fractional coordinates of all 14 atoms:
Cs 0.128 0.196 0.398
Cs 0.128 0.304 0.898
Cs 0.872 0.696 0.102
Cs 0.872 0.804 0.602
Ba 0.375 0.745 0.694
Ba 0.375 0.755 0.194
Ba 0.625 0.245 0.806
Ba 0.625 0.255 0.306
O 0.206 0.592 0.369
O 0.206 0.908 0.869
O 0.500 0.000 0.500
O 0.500 0.500 0.000
O 0.794 0.092 0.131
O 0.794 0.408 0.631

Results
The calculation puts the calculated volume at 29.21 A^3/atom. The calculation puts the formation energy at -197.0 kJ/mol of atoms. As for the crystal system: monoclinic. As for the final energy: -4.672 eV/atom. As for the energy above the most stable polymorph in this dataset: 57.2 meV per atom. As for the space group: P2_1/c (14).